DFT (PBE-GGA) results for a geometry-optimized Na3Fe2Se4 structure. Values from VASP.

Cell and atoms, written as Quantum ESPRESSO input:
```
&SYSTEM
  ibrav = 0, nat = 36, ntyp = 3
/
ATOMIC_SPECIES
Na 22.99 Na.upf
Fe 55.84 Fe.upf
Se 78.96 Se.upf
CELL_PARAMETERS angstrom
6.976 0.000 0.000
0.000 10.835 0.000
0.000 0.000 11.261
ATOMIC_POSITIONS crystal
Na 0.051 0.081 0.141
Na 0.051 0.419 0.141
Na 0.075 0.250 0.756
Na 0.425 0.750 0.256
Na 0.449 0.581 0.641
Na 0.449 0.919 0.641
Na 0.551 0.081 0.359
Na 0.551 0.419 0.359
Na 0.575 0.250 0.744
Na 0.925 0.750 0.244
Na 0.949 0.581 0.859
Na 0.949 0.919 0.859
Fe 0.046 0.127 0.471
Fe 0.046 0.373 0.471
Fe 0.454 0.627 0.971
Fe 0.454 0.873 0.971
Fe 0.546 0.127 0.029
Fe 0.546 0.373 0.029
Fe 0.954 0.627 0.529
Fe 0.954 0.873 0.529
Se 0.121 0.750 0.671
Se 0.172 0.555 0.377
Se 0.172 0.945 0.377
Se 0.187 0.750 0.039
Se 0.313 0.250 0.539
Se 0.328 0.055 0.877
Se 0.328 0.445 0.877
Se 0.379 0.250 0.171
Se 0.621 0.750 0.829
Se 0.672 0.555 0.123
Se 0.672 0.945 0.123
Se 0.687 0.750 0.461
Se 0.813 0.250 0.961
Se 0.828 0.055 0.623
Se 0.828 0.445 0.623
Se 0.879 0.250 0.329
```

## Properties
ΔE_f in eV/atom: -0.7698
Space-group type: Pnma (62)
E (MP2020) in eV/atom: -4.65
E in eV/cell: -159.727

***

DFT (PBE-GGA) results for a geometry-optimized In2Se structure. Values from VASP.

Cell and atoms, written as Quantum ESPRESSO input:
```
&SYSTEM
  ibrav = 0, nat = 24, ntyp = 2
/
ATOMIC_SPECIES
In 114.82 In.upf
Se 78.96 Se.upf
CELL_PARAMETERS angstrom
11.612 0.000 0.000
0.000 15.162 0.000
0.000 0.000 4.093
ATOMIC_POSITIONS crystal
In 0.087 0.122 0.000
In 0.094 0.640 0.500
In 0.192 0.492 0.000
In 0.247 0.761 0.000
In 0.253 0.261 0.500
In 0.308 0.992 0.500
In 0.406 0.140 0.000
In 0.413 0.622 0.500
In 0.587 0.378 0.500
In 0.594 0.860 0.000
In 0.692 0.008 0.500
In 0.747 0.739 0.500
In 0.753 0.239 0.000
In 0.808 0.508 0.000
In 0.906 0.360 0.500
In 0.913 0.878 0.000
Se 0.085 0.324 0.000
Se 0.153 0.931 0.000
Se 0.347 0.431 0.500
Se 0.415 0.824 0.500
Se 0.585 0.176 0.500
Se 0.653 0.569 0.500
Se 0.847 0.069 0.000
Se 0.915 0.676 0.000
```

## Properties
ΔE_f in eV/atom: -0.4025
Space-group type: Pnnm (58)
E (MP2020) in eV/atom: -3.40
E in eV/cell: -77.879

***

DFT (PBE-GGA) results for a geometry-optimized NdScSi structure. Values from VASP.

Cell and atoms, written as Quantum ESPRESSO input:
```
&SYSTEM
  ibrav = 0, nat = 6, ntyp = 3
/
ATOMIC_SPECIES
Nd 144.24 Nd.upf
Sc 44.96 Sc.upf
Si 28.09 Si.upf
CELL_PARAMETERS angstrom
-2.326 2.326 7.075
2.326 -2.326 7.075
2.326 2.326 -7.075
ATOMIC_POSITIONS crystal
Nd 0.141 0.141 0.000
Nd 0.859 0.859 0.000
Sc 0.389 0.389 0.000
Sc 0.611 0.611 0.000
Si 0.000 0.500 0.500
Si 0.500 0.000 0.500
```

## Properties
ΔE_f in eV/atom: -0.2478
E above lowest polymorph in meV per atom: 347
Space-group type: I4/mmm (139)
E (MP2020) in eV/atom: -5.76
E in eV/cell: -34.681

***

DFT (PBE-GGA) results for a geometry-optimized LiSbP2O7 structure. Values from VASP.

Cell and atoms, written as Quantum ESPRESSO input:
```
&SYSTEM
  ibrav = 0, nat = 88, ntyp = 4
/
ATOMIC_SPECIES
Li 6.94 Li.upf
Sb 121.76 Sb.upf
P 30.97 P.upf
O 16.00 O.upf
CELL_PARAMETERS angstrom
8.427 0.000 0.000
0.000 16.885 0.000
-0.337 0.000 8.526
ATOMIC_POSITIONS crystal
Li 0.158 0.248 0.193
Li 0.158 0.252 0.693
Li 0.306 0.553 0.242
Li 0.306 0.947 0.742
Li 0.694 0.053 0.258
Li 0.694 0.447 0.758
Li 0.842 0.748 0.307
Li 0.842 0.752 0.807
Sb 0.140 0.635 0.541
Sb 0.140 0.865 0.041
Sb 0.350 0.125 0.464
Sb 0.350 0.375 0.964
Sb 0.650 0.625 0.036
Sb 0.650 0.875 0.536
Sb 0.860 0.135 0.959
Sb 0.860 0.365 0.459
P 0.045 0.679 0.100
P 0.045 0.821 0.600
P 0.246 0.084 0.863
P 0.246 0.416 0.363
P 0.255 0.574 0.917
P 0.255 0.926 0.417
P 0.471 0.177 0.080
P 0.471 0.323 0.580
P 0.529 0.677 0.420
P 0.529 0.823 0.920
P 0.745 0.074 0.583
P 0.745 0.426 0.083
P 0.754 0.584 0.637
P 0.754 0.916 0.137
P 0.955 0.179 0.400
P 0.955 0.321 0.900
O 0.010 0.672 0.273
O 0.010 0.828 0.773
O 0.107 0.191 0.504
O 0.107 0.309 0.004
O 0.124 0.596 0.049
O 0.124 0.904 0.549
O 0.125 0.153 0.862
O 0.125 0.347 0.362
O 0.168 0.745 0.065
O 0.168 0.755 0.565
O 0.188 0.006 0.927
O 0.188 0.494 0.427
O 0.222 0.011 0.364
O 0.222 0.489 0.864
O 0.243 0.634 0.783
O 0.243 0.866 0.283
O 0.314 0.067 0.699
O 0.314 0.433 0.199
O 0.358 0.179 0.217
O 0.358 0.321 0.717
O 0.360 0.646 0.379
O 0.360 0.854 0.879
O 0.406 0.109 0.962
O 0.406 0.391 0.462
O 0.406 0.580 0.025
O 0.406 0.920 0.525
O 0.470 0.243 0.497
O 0.470 0.257 0.997
O 0.530 0.743 0.003
O 0.530 0.757 0.503
O 0.594 0.080 0.475
O 0.594 0.420 0.975
O 0.594 0.609 0.538
O 0.594 0.891 0.038
O 0.640 0.146 0.121
O 0.640 0.354 0.621
O 0.642 0.679 0.283
O 0.642 0.821 0.783
O 0.686 0.567 0.801
O 0.686 0.933 0.301
O 0.757 0.134 0.717
O 0.757 0.366 0.217
O 0.778 0.511 0.136
O 0.778 0.989 0.636
O 0.812 0.506 0.573
O 0.812 0.994 0.073
O 0.832 0.245 0.435
O 0.832 0.255 0.935
O 0.875 0.653 0.638
O 0.875 0.847 0.138
O 0.876 0.096 0.451
O 0.876 0.404 0.951
O 0.893 0.691 0.996
O 0.893 0.809 0.496
O 0.990 0.172 0.227
O 0.990 0.328 0.727
```

## Properties
ΔE_f in eV/atom: -2.4391
Space-group type: P2_1/c (14)
E (MP2020) in eV/atom: -7.12
E in eV/cell: -588.174

***

DFT (PBE-GGA) results for a geometry-optimized Hf6Ga2Co structure. Values from VASP.

Cell and atoms, written as Quantum ESPRESSO input:
```
&SYSTEM
  ibrav = 0, nat = 9, ntyp = 3
/
ATOMIC_SPECIES
Hf 178.49 Hf.upf
Ga 69.72 Ga.upf
Co 58.93 Co.upf
CELL_PARAMETERS angstrom
7.769 0.000 0.000
-3.884 6.728 0.000
0.000 0.000 3.345
ATOMIC_POSITIONS crystal
Hf 0.000 0.249 0.000
Hf 0.000 0.598 0.500
Hf 0.249 0.000 0.000
Hf 0.402 0.402 0.500
Hf 0.598 0.000 0.500
Hf 0.751 0.751 0.000
Ga 0.333 0.667 0.000
Ga 0.667 0.333 0.000
Co 0.000 0.000 0.500
```

## Properties
ΔE_f in eV/atom: -0.3869
Space-group type: P-62m (189)
E in eV/cell: -76.390

***

DFT (PBE-GGA) results for a geometry-optimized BaTlP3O9 structure. Values from VASP.

Cell and atoms, written as Quantum ESPRESSO input:
```
&SYSTEM
  ibrav = 0, nat = 56, ntyp = 4
/
ATOMIC_SPECIES
Ba 137.33 Ba.upf
Tl 204.38 Tl.upf
P 30.97 P.upf
O 16.00 O.upf
CELL_PARAMETERS angstrom
6.306 0.000 0.000
0.000 11.375 0.000
0.000 0.000 13.076
ATOMIC_POSITIONS crystal
Ba 0.096 0.107 0.421
Ba 0.404 0.893 0.921
Ba 0.596 0.393 0.579
Ba 0.904 0.607 0.079
Tl 0.100 0.488 0.367
Tl 0.400 0.512 0.867
Tl 0.600 0.012 0.633
Tl 0.900 0.988 0.133
P 0.083 0.216 0.684
P 0.097 0.587 0.637
P 0.108 0.843 0.648
P 0.392 0.157 0.148
P 0.403 0.413 0.137
P 0.417 0.784 0.184
P 0.583 0.284 0.316
P 0.597 0.913 0.363
P 0.608 0.657 0.352
P 0.892 0.343 0.852
P 0.903 0.087 0.863
P 0.917 0.716 0.816
O 0.030 0.007 0.931
O 0.038 0.936 0.574
O 0.045 0.104 0.759
O 0.084 0.323 0.768
O 0.095 0.718 0.588
O 0.100 0.724 0.890
O 0.180 0.449 0.163
O 0.189 0.145 0.207
O 0.200 0.791 0.137
O 0.300 0.209 0.637
O 0.311 0.855 0.707
O 0.320 0.551 0.663
O 0.400 0.276 0.390
O 0.405 0.282 0.088
O 0.416 0.677 0.268
O 0.455 0.896 0.259
O 0.462 0.064 0.074
O 0.470 0.993 0.431
O 0.530 0.493 0.069
O 0.538 0.564 0.426
O 0.545 0.396 0.241
O 0.584 0.177 0.232
O 0.595 0.782 0.412
O 0.600 0.776 0.110
O 0.680 0.051 0.837
O 0.689 0.355 0.793
O 0.700 0.709 0.863
O 0.800 0.291 0.363
O 0.811 0.645 0.293
O 0.820 0.949 0.337
O 0.900 0.224 0.610
O 0.905 0.218 0.912
O 0.916 0.823 0.732
O 0.955 0.604 0.741
O 0.962 0.436 0.926
O 0.970 0.507 0.569
```

## Properties
ΔE_f in eV/atom: -2.7214
Space-group type: P2_12_12_1 (19)
E (MP2020) in eV/atom: -7.37
E in eV/cell: -387.880

***

DFT (PBE-GGA) results for a geometry-optimized Ba2Ti3AlO7 structure. Values from VASP.

Cell and atoms, written as Quantum ESPRESSO input:
```
&SYSTEM
  ibrav = 0, nat = 13, ntyp = 4
/
ATOMIC_SPECIES
Ba 137.33 Ba.upf
Ti 47.87 Ti.upf
Al 26.98 Al.upf
O 16.00 O.upf
CELL_PARAMETERS angstrom
3.923 0.000 0.000
0.000 3.980 0.000
0.000 0.000 11.501
ATOMIC_POSITIONS crystal
Ba 0.000 0.000 0.181
Ba 0.000 0.000 0.819
Ti 0.500 0.500 0.000
Ti 0.500 0.500 0.375
Ti 0.500 0.500 0.625
Al 0.000 0.000 0.500
O 0.000 0.500 0.379
O 0.000 0.500 0.621
O 0.500 0.000 0.000
O 0.500 0.000 0.380
O 0.500 0.000 0.620
O 0.500 0.500 0.172
O 0.500 0.500 0.828
```

## Properties
ΔE_f in eV/atom: -2.7817
Space-group type: Pmmm (47)
E (MP2020) in eV/atom: -7.85
E in eV/cell: -97.259

***

DFT (PBE-GGA) results for a geometry-optimized AcCuO2F structure. Values from VASP.

Cell and atoms, written as Quantum ESPRESSO input:
```
&SYSTEM
  ibrav = 0, nat = 10, ntyp = 4
/
ATOMIC_SPECIES
Ac 227.00 Ac.upf
Cu 63.55 Cu.upf
O 16.00 O.upf
F 19.00 F.upf
CELL_PARAMETERS angstrom
-2.824 2.824 4.089
2.824 -2.824 4.089
2.824 2.824 -4.089
ATOMIC_POSITIONS crystal
Ac 0.250 0.750 0.500
Ac 0.750 0.250 0.500
Cu 0.000 0.000 0.000
Cu 0.500 0.500 0.000
O 0.205 0.705 0.909
O 0.295 0.205 0.500
O 0.705 0.795 0.500
O 0.795 0.295 0.091
F 0.250 0.250 0.000
F 0.750 0.750 0.000
```

## Properties
ΔE_f in eV/atom: -2.6348
Space-group type: I4/mcm (140)
E (MP2020) in eV/atom: -6.64
E in eV/cell: -62.737

***

DFT (PBE-GGA) results for a geometry-optimized AlNi20B14 structure. Values from VASP.

Cell and atoms, written as Quantum ESPRESSO input:
```
&SYSTEM
  ibrav = 0, nat = 35, ntyp = 3
/
ATOMIC_SPECIES
Al 26.98 Al.upf
Ni 58.69 Ni.upf
B 10.81 B.upf
CELL_PARAMETERS angstrom
0.000 5.329 5.329
5.329 0.000 5.329
5.329 5.329 0.000
ATOMIC_POSITIONS crystal
Al 0.000 0.000 0.000
Ni 0.000 0.000 0.334
Ni 0.000 0.000 0.666
Ni 0.000 0.334 0.000
Ni 0.000 0.334 0.666
Ni 0.000 0.666 0.000
Ni 0.000 0.666 0.334
Ni 0.136 0.621 0.621
Ni 0.334 0.000 0.000
Ni 0.334 0.000 0.666
Ni 0.334 0.666 0.000
Ni 0.379 0.379 0.379
Ni 0.379 0.379 0.864
Ni 0.379 0.864 0.379
Ni 0.621 0.136 0.621
Ni 0.621 0.621 0.136
Ni 0.621 0.621 0.621
Ni 0.666 0.000 0.000
Ni 0.666 0.000 0.334
Ni 0.666 0.334 0.000
Ni 0.864 0.379 0.379
B 0.190 0.190 0.190
B 0.190 0.190 0.430
B 0.190 0.430 0.190
B 0.276 0.276 0.724
B 0.276 0.724 0.276
B 0.276 0.724 0.724
B 0.430 0.190 0.190
B 0.570 0.810 0.810
B 0.724 0.276 0.276
B 0.724 0.276 0.724
B 0.724 0.724 0.276
B 0.810 0.570 0.810
B 0.810 0.810 0.570
B 0.810 0.810 0.810
```

## Properties
ΔE_f in eV/atom: -0.2797
Space-group type: Fm-3m (225)
E in eV/cell: -222.649

***

DFT (PBE-GGA) results for a geometry-optimized NbOF3 structure. Values from VASP.

Cell and atoms, written as Quantum ESPRESSO input:
```
&SYSTEM
  ibrav = 0, nat = 20, ntyp = 3
/
ATOMIC_SPECIES
Nb 92.91 Nb.upf
O 16.00 O.upf
F 19.00 F.upf
CELL_PARAMETERS angstrom
9.357 0.000 0.000
0.000 9.357 0.000
0.000 0.000 3.860
ATOMIC_POSITIONS crystal
Nb 0.131 0.131 0.000
Nb 0.369 0.631 0.500
Nb 0.631 0.369 0.500
Nb 0.869 0.869 0.000
O 0.115 0.115 0.500
O 0.385 0.615 0.000
O 0.615 0.385 0.000
O 0.885 0.885 0.500
F 0.095 0.905 0.000
F 0.107 0.331 0.000
F 0.169 0.607 0.500
F 0.331 0.107 0.000
F 0.393 0.831 0.500
F 0.405 0.405 0.500
F 0.595 0.595 0.500
F 0.607 0.169 0.500
F 0.669 0.893 0.000
F 0.831 0.393 0.500
F 0.893 0.669 0.000
F 0.905 0.095 0.000
```

## Properties
ΔE_f in eV/atom: -3.2587
Space-group type: P4_2/mnm (136)
E (MP2020) in eV/atom: -7.42
E in eV/cell: -140.054

***

DFT (PBE-GGA) results for a geometry-optimized HfFe6Ge6 structure. Values from VASP.

Cell and atoms, written as Quantum ESPRESSO input:
```
&SYSTEM
  ibrav = 0, nat = 13, ntyp = 3
/
ATOMIC_SPECIES
Hf 178.49 Hf.upf
Fe 55.84 Fe.upf
Ge 72.64 Ge.upf
CELL_PARAMETERS angstrom
5.061 0.000 0.000
-2.531 4.383 0.000
0.000 0.000 8.083
ATOMIC_POSITIONS crystal
Hf 0.000 0.000 0.000
Fe 0.000 0.500 0.248
Fe 0.000 0.500 0.752
Fe 0.500 0.000 0.248
Fe 0.500 0.000 0.752
Fe 0.500 0.500 0.248
Fe 0.500 0.500 0.752
Ge 0.000 0.000 0.342
Ge 0.000 0.000 0.658
Ge 0.333 0.667 0.000
Ge 0.333 0.667 0.500
Ge 0.667 0.333 0.000
Ge 0.667 0.333 0.500
```

## Properties
ΔE_f in eV/atom: -0.2321
Space-group type: P6/mmm (191)
E in eV/cell: -91.533

***

DFT (PBE-GGA) results for a geometry-optimized Ba2Ga11BiO20 structure. Values from VASP.

Cell and atoms, written as Quantum ESPRESSO input:
```
&SYSTEM
  ibrav = 0, nat = 34, ntyp = 4
/
ATOMIC_SPECIES
Ba 137.33 Ba.upf
Ga 69.72 Ga.upf
Bi 208.98 Bi.upf
O 16.00 O.upf
CELL_PARAMETERS angstrom
7.939 -5.948 0.000
7.939 5.948 0.000
-1.615 0.000 4.936
ATOMIC_POSITIONS crystal
Ba 0.000 0.000 0.000
Ba 0.717 0.717 0.748
Ga 0.010 0.283 0.659
Ga 0.153 0.580 0.843
Ga 0.283 0.010 0.659
Ga 0.366 0.636 0.496
Ga 0.424 0.850 0.158
Ga 0.499 0.499 0.007
Ga 0.580 0.153 0.843
Ga 0.636 0.366 0.496
Ga 0.715 0.991 0.344
Ga 0.850 0.424 0.158
Ga 0.991 0.715 0.344
Bi 0.289 0.289 0.365
O 0.003 0.295 0.014
O 0.003 0.707 0.987
O 0.100 0.100 0.518
O 0.134 0.395 0.640
O 0.170 0.668 0.575
O 0.295 0.003 0.014
O 0.307 0.543 0.115
O 0.332 0.834 0.425
O 0.395 0.134 0.640
O 0.426 0.426 0.609
O 0.452 0.688 0.885
O 0.543 0.307 0.115
O 0.561 0.561 0.394
O 0.602 0.873 0.343
O 0.668 0.170 0.575
O 0.688 0.452 0.885
O 0.707 0.003 0.987
O 0.834 0.332 0.425
O 0.873 0.602 0.343
O 0.903 0.903 0.475
```

## Properties
ΔE_f in eV/atom: -2.3757
Space-group type: Cm (8)
E (MP2020) in eV/atom: -6.49
E in eV/cell: -207.031